No. 1
The following is a GGA-PBE calculation of a relaxed Na2MgScPS2O12 crystal, from the Materials Project.

Lattice parameters (Å, degrees): 8.8797 8.8366 22.6649 90.08 90.00 120.16
Atoms (fractional coordinates):
Na1 0.0010 0.6386 0.2448
Na2 0.6376 0.6386 0.7448
Na3 0.6605 0.9598 0.5803
Na4 0.2994 0.9598 0.0803
Na5 0.6924 0.0279 0.9118
Na6 0.3355 0.0279 0.4118
Na7 0.9853 0.9922 0.4964
Na8 0.0069 0.9922 0.9964
Na9 0.6601 0.3180 0.8299
Na10 0.6579 0.3180 0.3299
Na11 0.3343 0.6588 0.1636
Na12 0.3246 0.6588 0.6636
Mg1 0.9941 0.0052 0.3503
Mg2 0.0111 0.0052 0.8503
Mg3 0.6660 0.3280 0.6836
Mg4 0.6620 0.3280 0.1836
Mg5 0.3198 0.6623 0.0169
Mg6 0.3426 0.6623 0.5169
Sc1 0.9944 0.9944 0.6491
Sc2 0.0000 0.9944 0.1491
Sc3 0.6708 0.3444 0.9825
Sc4 0.6736 0.3444 0.4825
Sc5 0.3467 0.6817 0.3156
Sc6 0.3350 0.6817 0.8156
P1 0.2981 0.0064 0.2521
P2 0.7083 0.0064 0.7521
P3 0.6624 0.6250 0.5869
P4 0.9625 0.6250 0.0869
P5 0.3298 0.9643 0.9201
P6 0.6345 0.9643 0.4201
S1 0.7071 0.7045 0.2507
S2 0.9979 0.2930 0.2507
S3 0.2951 0.2930 0.7507
S4 0.9974 0.7045 0.7507
S5 0.9634 0.3391 0.5843
S6 0.3719 0.0387 0.5829
S7 0.6668 0.0387 0.0829
S8 0.3757 0.3391 0.0843
S9 0.6254 0.6681 0.9165
S10 0.0422 0.3717 0.9172
S11 0.3295 0.3717 0.4172
S12 0.0427 0.6681 0.4165
O1 0.2092 0.0221 0.3080
O2 0.8162 0.7892 0.3029
O3 0.9755 0.1880 0.3032
O4 0.2125 0.1880 0.8032
O5 0.9729 0.7892 0.8029
O6 0.8129 0.0221 0.8080
O7 0.7927 0.9726 0.6961
O8 0.1900 0.2102 0.6969
O9 0.0272 0.8130 0.6970
O10 0.7858 0.8130 0.1970
O11 0.0201 0.2102 0.1969
O12 0.1799 0.9726 0.1961
O13 0.8807 0.3597 0.6369
O14 0.4858 0.1237 0.6339
O15 0.6456 0.5231 0.6432
O16 0.8775 0.5231 0.1432
O17 0.6379 0.1237 0.1339
O18 0.4789 0.3597 0.1369
O19 0.4535 0.3034 0.0310
O20 0.8476 0.5351 0.0319
O21 0.6907 0.1415 0.0277
O22 0.4508 0.1415 0.5277
O23 0.6875 0.5351 0.5319
O24 0.8499 0.3034 0.5310
O25 0.5381 0.6905 0.9680
O26 0.1459 0.4530 0.9699
O27 0.3111 0.8596 0.9763
O28 0.5485 0.8596 0.4763
O29 0.3071 0.4530 0.4699
O30 0.1525 0.6905 0.4680
O31 0.1186 0.6413 0.3613
O32 0.5107 0.8745 0.3658
O33 0.3537 0.4774 0.3637
O34 0.1237 0.4774 0.8637
O35 0.3637 0.8745 0.8658
O36 0.5227 0.6413 0.8613
O37 0.0290 0.8286 0.4111
O38 0.8135 0.9837 0.4107
O39 0.1777 0.1913 0.4116
O40 0.0136 0.1913 0.9116
O41 0.1701 0.9837 0.9107
O42 0.7996 0.8286 0.9111
O43 0.9769 0.1758 0.5890
O44 0.1984 0.0237 0.5893
O45 0.8290 0.8149 0.5885
O46 0.9859 0.8149 0.0885
O47 0.8254 0.0237 0.0893
O48 0.1988 0.1758 0.0890
O49 0.6845 0.1644 0.7439
O50 0.4737 0.3189 0.7451
O51 0.8375 0.5316 0.7442
O52 0.6942 0.5316 0.2442
O53 0.8452 0.3189 0.2451
O54 0.4799 0.1644 0.2439
O55 0.6458 0.5110 0.9214
O56 0.8628 0.3512 0.9219
O57 0.5048 0.1457 0.9233
O58 0.6409 0.1457 0.4233
O59 0.4884 0.3512 0.4219
O60 0.8652 0.5110 0.4214
O61 0.3570 0.4939 0.0759
O62 0.1485 0.6529 0.0804
O63 0.5094 0.8622 0.0772
O64 0.3527 0.8622 0.5772
O65 0.5044 0.6529 0.5804
O66 0.1369 0.4939 0.5759
O67 0.3039 0.8300 0.2552
O68 0.5301 0.6828 0.2557
O69 0.1570 0.4722 0.2555
O70 0.3151 0.4722 0.7555
O71 0.1527 0.6828 0.7557
O72 0.5262 0.8300 0.7552

final energy	-750.83	eV/cell
space group	No. 9
size of the total moment	0.00	μB per cell
MP2020-corrected energy	-7.0201	eV per atom
DFT formation energy	-49.74	eV/f.u.


No. 2
The following is a GGA-PBE calculation of a relaxed CaSO4 crystal, from the Materials Project.

Lattice parameters (Å, degrees): 6.9873 6.4313 8.1886 53.79 90.00 90.00
Atoms (fractional coordinates):
Ca1 0.6543 0.1901 0.2164
Ca2 0.1543 0.8099 0.2836
Ca3 0.3457 0.8099 0.7836
Ca4 0.8457 0.1901 0.7164
S1 0.6608 0.6914 0.1968
S2 0.1608 0.3086 0.3032
S3 0.3392 0.3086 0.8032
S4 0.8392 0.6914 0.6968
O1 0.7081 0.4258 0.3735
O2 0.2081 0.5742 0.1265
O3 0.2919 0.5742 0.6265
O4 0.7919 0.4258 0.8735
O5 0.5987 0.6659 0.0354
O6 0.0987 0.3341 0.4646
O7 0.4013 0.3341 0.9646
O8 0.9013 0.6659 0.5354
O9 0.9897 0.8086 0.7476
O10 0.4897 0.1914 0.7524
O11 0.0103 0.1914 0.2524
O12 0.5103 0.8086 0.2476
O13 0.6695 0.8690 0.6206
O14 0.1695 0.1310 0.8794
O15 0.3305 0.1310 0.3794
O16 0.8305 0.8690 0.1206

final energy	-156.18	eV/cell
space group	No. 14
MP2020-corrected energy	-6.9657	eV per atom
DFT formation energy	-15.86	eV/f.u.


No. 3
The following is a GGA-PBE calculation of a relaxed Li2Ca2Si2O7 crystal, from the Materials Project.

Lattice parameters (Å, degrees): 5.1471 5.1471 41.6291 90.00 90.00 120.00
Atoms (fractional coordinates):
Li1 0.6981 0.2866 0.6931
Li2 0.7134 0.4115 0.0265
Li3 0.5885 0.3019 0.3598
Li4 0.3019 0.7134 0.1931
Li5 0.2866 0.5885 0.5265
Li6 0.4115 0.6981 0.8598
Li7 0.2866 0.6981 0.6402
Li8 0.4115 0.7134 0.3069
Li9 0.3019 0.5885 0.9735
Li10 0.7134 0.3019 0.1402
Li11 0.5885 0.2866 0.8069
Li12 0.6981 0.4115 0.4735
Ca1 0.9612 0.9612 0.6667
Ca2 0.0388 0.0000 0.0000
Ca3 0.0000 0.0388 0.3333
Ca4 0.0388 0.0388 0.1667
Ca5 0.9612 0.0000 0.5000
Ca6 0.0000 0.9612 0.8333
Ca7 0.9639 0.9277 0.7500
Ca8 0.0723 0.0361 0.0833
Ca9 0.9639 0.0361 0.4167
Ca10 0.0361 0.0723 0.2500
Ca11 0.9277 0.9639 0.5833
Ca12 0.0361 0.9639 0.9167
Si1 0.3537 0.6266 0.7125
Si2 0.3734 0.7270 0.0458
Si3 0.2730 0.6463 0.3792
Si4 0.6463 0.3734 0.2125
Si5 0.6266 0.2730 0.5458
Si6 0.7270 0.3537 0.8792
Si7 0.6266 0.3537 0.6208
Si8 0.7270 0.3734 0.2875
Si9 0.6463 0.2730 0.9542
Si10 0.3734 0.6463 0.1208
Si11 0.2730 0.6266 0.7875
Si12 0.3537 0.7270 0.4542
O1 0.3882 0.7764 0.7500
O2 0.2236 0.6118 0.0833
O3 0.3882 0.6118 0.4167
O4 0.6118 0.2236 0.2500
O5 0.7764 0.3882 0.5833
O6 0.6118 0.3882 0.9167
O7 0.6663 0.6193 0.7077
O8 0.3807 0.0470 0.0410
O9 0.9530 0.3337 0.3744
O10 0.3337 0.3807 0.2077
O11 0.6193 0.9530 0.5410
O12 0.0470 0.6663 0.8744
O13 0.6193 0.6663 0.6256
O14 0.0470 0.3807 0.2923
O15 0.3337 0.9530 0.9590
O16 0.3807 0.3337 0.1256
O17 0.9530 0.6193 0.7923
O18 0.6663 0.0470 0.4590
O19 0.0585 0.2915 0.7115
O20 0.7085 0.7670 0.0448
O21 0.2330 0.9415 0.3781
O22 0.9415 0.7085 0.2115
O23 0.2915 0.2330 0.5448
O24 0.7670 0.0585 0.8781
O25 0.2915 0.0585 0.6219
O26 0.7670 0.7085 0.2885
O27 0.9415 0.2330 0.9552
O28 0.7085 0.9415 0.1219
O29 0.2330 0.2915 0.7885
O30 0.0585 0.7670 0.4552
O31 0.8680 0.3446 0.6455
O32 0.6554 0.5233 0.9789
O33 0.4767 0.1320 0.3122
O34 0.1320 0.6554 0.1455
O35 0.3446 0.4767 0.4789
O36 0.5233 0.8680 0.8122
O37 0.3446 0.8680 0.6878
O38 0.5233 0.6554 0.3545
O39 0.1320 0.4767 0.0211
O40 0.6554 0.1320 0.1878
O41 0.4767 0.3446 0.8545
O42 0.8680 0.5233 0.5211

final energy	-540.06	eV/cell
space group	No. 178
size of the total moment	0.00	μB per cell
MP2020-corrected energy	-7.2938	eV per atom
DFT formation energy	-41.50	eV/f.u.


No. 4
The following is a GGA-PBE calculation of a relaxed Sc2O3 crystal, from the Materials Project.

Lattice parameters (Å, degrees): 5.7104 5.7104 5.7104 56.10 56.10 56.10
Atoms (fractional coordinates):
Sc1 0.6443 0.6443 0.6443
Sc2 0.8557 0.8557 0.8557
Sc3 0.1443 0.1443 0.1443
Sc4 0.3557 0.3557 0.3557
O1 0.4501 0.7500 0.0499
O2 0.9501 0.5499 0.2500
O3 0.2500 0.9501 0.5499
O4 0.7500 0.0499 0.4501
O5 0.0499 0.4501 0.7500
O6 0.5499 0.2500 0.9501

final energy	-90.20	eV/cell
space group	No. 167
MP2020-corrected energy	-9.4318	eV per atom
DFT formation energy	-19.65	eV/f.u.


No. 5
The following is a GGA-PBE calculation of a relaxed NdSmIn2 crystal, from the Materials Project.

Lattice parameters (Å, degrees): 5.5488 5.5488 5.5488 60.00 60.00 60.00
Atoms (fractional coordinates):
Nd1 0.5000 0.5000 0.5000
Sm1 0.0000 0.0000 0.0000
In1 0.2500 0.2500 0.2500
In2 0.7500 0.7500 0.7500

final energy	-16.87	eV/cell
space group	No. 225
DFT formation energy	-1.88	eV/f.u.


No. 6
The following is a GGA-PBE calculation of a relaxed Li2PrAl crystal, from the Materials Project.

Lattice parameters (Å, degrees): 4.8785 4.8785 4.8785 60.00 60.00 60.00
Atoms (fractional coordinates):
Li1 0.2500 0.2500 0.2500
Li2 0.7500 0.7500 0.7500
Pr1 0.0000 0.0000 0.0000
Al1 0.5000 0.5000 0.5000

final energy	-13.10	eV/cell
space group	No. 225
DFT formation energy	-0.75	eV/f.u.


No. 7
The following is a GGA-PBE calculation of a relaxed Mg14CoNi crystal, from the Materials Project.

Lattice parameters (Å, degrees): 6.1656 6.1656 9.6249 90.00 90.00 120.00
Atoms (fractional coordinates):
Mg1 0.1672 0.8336 0.1250
Mg2 0.1669 0.8335 0.6250
Mg3 0.6664 0.3328 0.1250
Mg4 0.6665 0.3331 0.6250
Mg5 0.6664 0.8336 0.1250
Mg6 0.6665 0.8335 0.6250
Mg7 0.3235 0.1765 0.3742
Mg8 0.3235 0.1765 0.8758
Mg9 0.3235 0.6471 0.3742
Mg10 0.3235 0.6471 0.8758
Mg11 0.8529 0.1765 0.3742
Mg12 0.8529 0.1765 0.8758
Mg13 0.8333 0.6667 0.3755
Mg14 0.8333 0.6667 0.8745
Co1 0.1667 0.3333 0.1250
Ni1 0.1667 0.3333 0.6250

final energy	-33.94	eV/cell
space group	No. 187
size of the total moment	0.01	μB per cell
ΔE to the lowest computed polymorph	0.0212	eV/atom
DFT formation energy	1.35	eV/f.u.


No. 8
The following is a GGA-PBE calculation of a relaxed BaPm3 crystal, from the Materials Project.

Lattice parameters (Å, degrees): 6.4857 6.4857 6.4857 130.63 130.63 72.41
Atoms (fractional coordinates):
Ba1 0.0000 0.0000 0.0000
Pm1 0.7500 0.2500 0.5000
Pm2 0.2500 0.7500 0.5000
Pm3 0.5000 0.5000 0.0000

final energy	-15.41	eV/cell
space group	No. 139
size of the total moment	0.00	μB per cell
DFT formation energy	0.76	eV/f.u.